# 1
Here is an optimized crystal structure of Li2WS4 from the Materials Project. Energies are from PBE.

```
data_Li2WS4
_cell_length_a 13.2076
_cell_length_b 7.7696
_cell_length_c 6.0719
_cell_angle_alpha 90.00
_cell_angle_beta 90.00
_cell_angle_gamma 90.00
_space_group_name_H-M_alt 'P n m a'
_space_group_IT_number 62
_space_group_name_Hall '-P 2ac 2n'
loop_
_atom_site_label
_atom_site_type_symbol
_atom_site_fract_x
_atom_site_fract_y
_atom_site_fract_z
_atom_site_occupancy
Li1 Li 0.0000 0.0000 0.0000 1
Li2 Li 0.2325 0.2500 0.4952 1
W1 W 0.0890 0.7500 0.6147 1
S1 S 0.0681 0.2500 0.2561 1
S2 S 0.0911 0.7500 0.2526 1
S3 S 0.1664 0.5192 0.7446 1
```

Values from the calculation:
The formation energy comes out at -1124 meV/atom. The polymorph energy (0 for the lowest one) comes out at 17 meV per atom. Its total energy is -5.60 eV per atom.



# 2
Here is an optimized crystal structure of B5H9 from the Materials Project. Energies are from PBE.

```
data_B5H9
_cell_length_a 7.3003
_cell_length_b 7.3003
_cell_length_c 5.3331
_cell_angle_alpha 90.00
_cell_angle_beta 90.00
_cell_angle_gamma 90.00
_space_group_name_H-M_alt 'I 4 m m'
_space_group_IT_number 107
_space_group_name_Hall 'I 4 -2'
loop_
_atom_site_label
_atom_site_type_symbol
_atom_site_fract_x
_atom_site_fract_y
_atom_site_fract_z
_atom_site_occupancy
B1 B 0.0000 0.0000 0.0000 1
B2 B 0.0000 0.1731 0.7879 1
H1 H 0.0000 0.0000 0.2226 1
H2 H 0.0000 0.3345 0.8154 1
H3 H 0.1335 0.1335 0.6205 1
```

Values from the calculation:
The formation energy comes out at -163 meV/atom. Its total energy is -4.61 eV per atom.



# 3
Here is an optimized crystal structure of NbPRu from the Materials Project. Energies are from PBE.

```
data_NbPRu
_cell_length_a 6.3634
_cell_length_b 3.7589
_cell_length_c 7.2095
_cell_angle_alpha 90.00
_cell_angle_beta 90.00
_cell_angle_gamma 90.00
_space_group_name_H-M_alt 'P n m a'
_space_group_IT_number 62
_space_group_name_Hall '-P 2ac 2n'
loop_
_atom_site_label
_atom_site_type_symbol
_atom_site_fract_x
_atom_site_fract_y
_atom_site_fract_z
_atom_site_occupancy
Nb1 Nb 0.0239 0.2500 0.1731 1
P1 P 0.2318 0.7500 0.3775 1
Ru1 Ru 0.1446 0.2500 0.5631 1
```

Values from the calculation:
The formation energy comes out at -838 meV/atom. Its total energy is -9.10 eV per atom.



# 4
Here is an optimized crystal structure of LiDy3 from the Materials Project. Energies are from PBE.

```
data_LiDy3
_cell_length_a 7.0004
_cell_length_b 7.0004
_cell_length_c 5.5154
_cell_angle_alpha 90.00
_cell_angle_beta 90.00
_cell_angle_gamma 120.00
_space_group_name_H-M_alt 'P 63/m m c'
_space_group_IT_number 194
_space_group_name_Hall '-P 6c 2c'
loop_
_atom_site_label
_atom_site_type_symbol
_atom_site_fract_x
_atom_site_fract_y
_atom_site_fract_z
_atom_site_occupancy
Li1 Li 0.3333 0.6667 0.2500 1
Dy1 Dy 0.1690 0.3380 0.7500 1
```

Values from the calculation:
The formation energy comes out at 190 meV/atom. The polymorph energy (0 for the lowest one) comes out at 0 meV per atom. Its total energy is -3.74 eV per atom.



# 5
Here is an optimized crystal structure of Al2H12Se3O15 from the Materials Project. Energies are from PBE.

```
data_Al2H12Se3O15
_cell_length_a 8.9977
_cell_length_b 8.9977
_cell_length_c 11.0939
_cell_angle_alpha 90.00
_cell_angle_beta 90.00
_cell_angle_gamma 120.00
_space_group_name_H-M_alt 'P 3 1 c'
_space_group_IT_number 159
_space_group_name_Hall 'P 3 -2c'
loop_
_atom_site_label
_atom_site_type_symbol
_atom_site_fract_x
_atom_site_fract_y
_atom_site_fract_z
_atom_site_occupancy
Al1 Al 0.3333 0.6667 0.0000 1
Al2 Al 0.3333 0.6667 0.4174 1
H1 H 0.0374 0.5819 0.8873 1
H2 H 0.0641 0.5764 0.5546 1
H3 H 0.1734 0.5893 0.8070 1
H4 H 0.1998 0.7781 0.5859 1
Se1 Se 0.1178 0.3814 0.2062 1
O1 O 0.0948 0.3416 0.7006 1
O2 O 0.1354 0.5171 0.0847 1
O3 O 0.1374 0.5162 0.3276 1
O4 O 0.1635 0.6524 0.8758 1
O5 O 0.1650 0.6834 0.5233 1
```

Values from the calculation:
The formation energy comes out at -1544 meV/atom. The polymorph energy (0 for the lowest one) comes out at 67 meV per atom. Its total energy is -5.38 eV per atom.



# 6
Here is an optimized crystal structure of Rb3Hg from the Materials Project. Energies are from PBE.

```
data_Rb3Hg
_cell_length_a 10.0538
_cell_length_b 10.0538
_cell_length_c 10.0538
_cell_angle_alpha 90.00
_cell_angle_beta 90.00
_cell_angle_gamma 90.00
_space_group_name_H-M_alt 'F m -3 m'
_space_group_IT_number 225
_space_group_name_Hall '-F 4 2 3'
loop_
_atom_site_label
_atom_site_type_symbol
_atom_site_fract_x
_atom_site_fract_y
_atom_site_fract_z
_atom_site_occupancy
Rb1 Rb 0.0000 0.0000 0.0000 1
Rb2 Rb 0.2500 0.2500 0.2500 1
Hg1 Hg 0.0000 0.0000 0.5000 1
```

Values from the calculation:
The formation energy comes out at -40 meV/atom. Its total energy is -0.85 eV per atom.